Record 1
First-principles (GGA+U) data for a relaxed BaW4O8 crystal, as listed in the Materials Project database.

```
BaW4O8
1.0
3.045 -5.274 0.000
3.045 5.274 0.000
0.000 0.000 7.282
O W Ba
8 4 1
direct
0.655 0.655 0.286
0.655 0.000 0.714
0.333 0.667 0.000
0.000 0.655 0.714
0.345 0.000 0.286
0.667 0.333 0.000
0.345 0.345 0.714
0.000 0.345 0.286
0.333 0.667 0.720
0.667 0.333 0.720
0.333 0.667 0.280
0.667 0.333 0.280
0.000 0.000 0.000
```

Properties
formation energy = -1.4550 eV/atom
total DFT energy (no corrections) = -6.846 eV/atom


Record 2
First-principles (GGA+U) data for a relaxed Ba3WO6 crystal, as listed in the Materials Project database.

```
Ba3WO6
1.0
0.885 0.486 6.346
0.338 5.792 2.763
-4.788 2.049 3.764
Ba O W
3 6 1
direct
0.250 0.250 0.250
0.500 0.500 0.500
0.750 0.750 0.750
0.786 0.214 0.786
0.214 0.786 0.214
0.786 0.786 0.214
0.786 0.214 0.214
0.214 0.786 0.786
0.214 0.214 0.786
0.000 0.000 0.000
```

Properties
formation energy = -2.7977 eV/atom
total DFT energy (no corrections) = -6.782 eV/atom


Record 3
First-principles (GGA+U) data for a relaxed Ba3WO6 crystal, as listed in the Materials Project database.

```
Ba3WO6
1.0
-3.189 3.472 -3.970
-5.674 -2.166 2.641
-0.221 6.656 5.981
O W Ba
12 2 6
direct
0.473 0.992 0.022
0.777 0.211 0.768
0.945 0.393 0.510
0.202 0.643 0.679
0.660 0.255 0.210
0.746 0.618 0.730
0.513 0.029 0.456
0.779 0.853 0.243
0.341 0.739 0.269
0.222 0.154 0.240
0.220 0.224 0.726
0.036 0.444 0.944
0.990 0.435 0.725
0.497 0.991 0.241
0.488 0.402 0.954
0.498 0.430 0.491
0.004 0.994 0.478
0.990 0.032 0.006
0.491 0.922 0.738
0.994 0.508 0.230
```

Properties
formation energy = -2.8652 eV/atom
total DFT energy (no corrections) = -6.849 eV/atom


Record 4
First-principles (GGA+U) data for a relaxed BaWO4 crystal, as listed in the Materials Project database.

```
BaWO4
1.0
6.366 4.065 0.000
-6.366 4.065 0.000
0.000 4.011 4.061
O Ba W
8 2 2
direct
0.432 0.835 0.390
0.835 0.432 0.890
0.165 0.568 0.110
0.769 0.683 0.165
0.231 0.317 0.835
0.568 0.165 0.610
0.683 0.769 0.665
0.317 0.231 0.335
0.874 0.126 0.750
0.126 0.874 0.250
0.621 0.379 0.250
0.379 0.621 0.750
```

Properties
excess energy over the best structure of this formula in the dataset = 0.0029 eV/atom
formation energy = -2.7263 eV/atom
total DFT energy (no corrections) = -7.307 eV/atom


Record 5
First-principles (GGA+U) data for a relaxed BaWO4 crystal, as listed in the Materials Project database.

```
BaWO4
1.0
-3.279 -0.203 6.508
-2.223 -7.176 -1.344
9.439 -10.790 4.419
Ba O W
8 32 8
direct
0.159 0.003 0.340
0.564 0.491 0.649
0.841 0.997 0.660
0.659 0.997 0.160
0.064 0.509 0.851
0.436 0.509 0.351
0.341 0.003 0.840
0.936 0.491 0.149
0.977 0.819 0.891
0.276 0.790 0.045
0.087 0.379 0.328
0.023 0.181 0.109
0.587 0.621 0.172
0.130 0.168 0.525
0.249 0.865 0.704
0.751 0.135 0.296
0.073 0.127 0.925
0.413 0.379 0.828
0.776 0.210 0.455
0.135 0.582 0.445
0.365 0.582 0.945
0.308 0.388 0.165
0.724 0.210 0.955
0.913 0.621 0.672
0.477 0.181 0.609
0.523 0.819 0.391
0.224 0.790 0.545
0.927 0.873 0.075
0.692 0.612 0.835
0.808 0.612 0.335
0.635 0.418 0.055
0.630 0.832 0.975
0.370 0.168 0.025
0.251 0.865 0.204
0.427 0.127 0.425
0.870 0.832 0.475
0.865 0.418 0.555
0.573 0.873 0.575
0.192 0.388 0.665
0.749 0.135 0.796
0.160 0.013 0.078
0.551 0.416 0.921
0.660 0.987 0.422
0.840 0.987 0.922
0.949 0.416 0.421
0.340 0.013 0.578
0.449 0.584 0.079
0.051 0.584 0.579
```

Properties
excess energy over the best structure of this formula in the dataset = 0.0100 eV/atom
formation energy = -2.7191 eV/atom
total DFT energy (no corrections) = -7.300 eV/atom


Record 6
First-principles (GGA+U) data for a relaxed BaWO4 crystal, as listed in the Materials Project database.

```
BaWO4
1.0
3.017 -1.927 5.813
-5.597 -3.547 -1.644
4.527 -1.016 -5.008
O Ba W
8 2 2
direct
0.402 0.078 0.677
0.848 0.672 0.823
0.328 0.152 0.177
0.975 0.152 0.823
0.922 0.598 0.323
0.275 0.598 0.677
0.848 0.025 0.177
0.402 0.725 0.323
0.750 0.250 0.500
0.500 0.500 0.000
0.250 0.750 0.500
0.000 0.000 0.000
```

Properties
excess energy over the best structure of this formula in the dataset = 0.0210 eV/atom
formation energy = -2.7081 eV/atom
total DFT energy (no corrections) = -7.289 eV/atom


Q: Among the records above, which one has the lowest total DFT energy (no corrections)?
A: number 4